# 1
Below is a relaxed structure of Ti3Al2NiC, with properties calculated at the PBE-GGA level.

The structure belongs to space group Fd-3m (No. 227, origin choice 2); the cell edges are 11.4573, 11.4573 and 11.4573 Å and the angles 90.00°, 90.00° and 90.00°. The asymmetric unit holds Ti at (0.0640, 0.3750, 0.3750), Al at (0.0421, 0.0421, 0.7079), Ni at (0.0000, 0.0000, 0.5000) and C at (0.0000, 0.0000, 0.0000).

The formation energy is -0.6790 eV per atom. The value obtained for the total energy is -7.2771 eV per atom. The value obtained for the total magnetization is 0.021 μB/atom.


# 2
Below is a relaxed structure of Al2CO, with properties calculated at the PBE-GGA level.

The structure belongs to space group P-6m2 (No. 187); the cell edges are 3.4817, 3.4817 and 4.0876 Å and the angles 90.00°, 90.00° and 120.00°. The asymmetric unit holds Al at (0.0000, 0.0000, 0.0000), Al at (0.3333, 0.6667, 0.5000), C at (0.0000, 0.0000, 0.5000) and O at (0.3333, 0.6667, 0.0000).

The formation energy is -1.3547 eV per atom. The value obtained for the total energy is -6.5998 eV per atom. The value obtained for the total magnetization is 0.000 μB/atom.